LiTiP2O7: relaxed, GGA-PBE.

Cell and atoms, written as CIF:
```
data_LiTiP2O7
_symmetry_space_group_name_H-M 'P 1 21/c 1'
_symmetry_Int_Tables_number 14
_symmetry_space_group_name_Hall '-P 2ybc'
_cell_length_a 7.0735
_cell_length_b 10.3677
_cell_length_c 8.0670
_cell_angle_alpha 90.00
_cell_angle_beta 113.00
_cell_angle_gamma 90.00
loop_
_atom_site_label
_atom_site_fract_x
_atom_site_fract_y
_atom_site_fract_z
Li1 0.1384 0.1652 0.0750
Ti1 0.2278 0.6083 0.2520
P1 0.1356 0.5921 0.8044
P2 0.4783 0.6517 0.7084
O1 0.0332 0.0331 0.2104
O2 0.0469 0.7132 0.6903
O3 0.1327 0.6044 0.9911
O4 0.3219 0.0800 0.7530
O5 0.3266 0.6341 0.5123
O6 0.3726 0.5793 0.8301
O7 0.4885 0.2070 0.2306
```

Energy relative to the elements: -2.818 eV per atom